YAgO3 (PBE, optimized geometry); ΔE_f = -1.54 eV/atom
1.0
4.4267 0.0000 0.0000
0.0000 4.4267 0.0000
0.0000 0.0000 4.4267
Y Ag O
1 1 3
Direct
0.5000 0.5000 0.5000 Y
0.0000 0.0000 0.0000 Ag
0.5000 0.0000 0.5000 O
0.0000 0.5000 0.5000 O
0.5000 0.5000 0.0000 O

YAgO3 (PBE, optimized geometry); ΔE_f = -1.59 eV/atom
1.0
-1.0241 -2.9084 2.6327
-1.2537 -2.3356 -3.0678
3.7172 -1.5889 -0.3094
Y Ag O
1 1 3
Direct
0.0000 0.0000 0.0000 Y
0.5000 0.5000 0.5000 Ag
0.5000 0.5000 0.0000 O
0.5000 0.0000 0.5000 O
0.0000 0.5000 0.5000 O

YAgO3 (PBE, optimized geometry); ΔE_f = -2.16 eV/atom
1.0
-4.8122 2.0337 3.8905
-1.3556 -2.2035 -5.9780
-1.1369 -10.7964 4.2374
Y Ag O
6 6 18
Direct
0.6667 0.3333 0.2330 Y
0.3333 0.6667 0.7330 Y
0.6667 0.3333 0.7330 Y
0.3333 0.6667 0.2330 Y
0.0000 0.0000 0.7730 Y
0.0000 0.0000 0.2730 Y
0.6673 0.0000 0.5012 Ag
0.6673 0.6673 0.0012 Ag
0.0000 0.3327 0.0012 Ag
0.0000 0.6673 0.5012 Ag
0.3327 0.3327 0.5012 Ag
0.3327 0.0000 0.0012 Ag
0.6667 0.3333 0.0275 O
0.3333 0.6667 0.5275 O
0.6667 0.3333 0.5275 O
0.3333 0.6667 0.0275 O
0.0000 0.0000 0.9717 O
0.0000 0.0000 0.4717 O
0.3566 0.0000 0.8278 O
0.3566 0.3566 0.3278 O
0.0000 0.6434 0.3278 O
0.0000 0.3566 0.8278 O
0.6434 0.6434 0.8278 O
0.6434 0.0000 0.3278 O
0.3104 0.0000 0.1742 O
0.3104 0.3104 0.6742 O
0.0000 0.6896 0.6742 O
0.0000 0.3104 0.1742 O
0.6896 0.6896 0.1742 O
0.6896 0.0000 0.6742 O

Y3AgO5 (PBE, optimized geometry); ΔE_f = -3.01 eV/atom
1.0
-7.5747 3.9812 -5.5600
-4.5944 -1.7873 -8.9352
-9.2212 -2.8000 -3.3569
Y Ag O
9 3 15
Direct
0.0141 0.5001 0.5001 Y
0.5001 0.5001 0.0141 Y
0.5001 0.0141 0.5001 Y
0.7475 0.2930 0.2930 Y
0.2930 0.2930 0.7475 Y
0.2930 0.7475 0.2930 Y
0.2531 0.7095 0.7095 Y
0.7095 0.7095 0.2531 Y
0.7095 0.2531 0.7095 Y
0.0185 0.0185 0.0185 Ag
0.2245 0.2245 0.2245 Ag
0.8006 0.8006 0.8006 Ag
0.1007 0.1007 0.1007 O
0.3014 0.3014 0.3014 O
0.8820 0.8820 0.8820 O
0.3852 0.3852 0.3852 O
0.4840 0.4840 0.4840 O
0.5940 0.5940 0.5940 O
0.3115 0.8170 0.8170 O
0.8170 0.8170 0.3115 O
0.8170 0.3115 0.8170 O
0.8704 0.3550 0.3550 O
0.3550 0.3550 0.8704 O
0.3550 0.8704 0.3550 O
0.0466 0.6041 0.6041 O
0.6041 0.6041 0.0466 O
0.6041 0.0466 0.6041 O

YAgO3 (PBE, optimized geometry); ΔE_f = -2.10 eV/atom
1.0
5.4937 0.0000 0.0000
0.0000 6.0280 0.0000
0.0000 0.0000 7.9375
Y Ag O
4 4 12
Direct
0.0312 0.9145 0.7500 Y
0.5312 0.5855 0.2500 Y
0.4688 0.4145 0.7500 Y
0.9688 0.0855 0.2500 Y
0.0000 0.5000 0.5000 Ag
0.5000 0.0000 0.5000 Ag
0.5000 0.0000 0.0000 Ag
0.0000 0.5000 0.0000 Ag
0.6964 0.3198 0.4277 O
0.1964 0.1802 0.5723 O
0.8036 0.8198 0.0723 O
0.3036 0.6802 0.9277 O
0.3036 0.6802 0.5723 O
0.8036 0.8198 0.4277 O
0.1964 0.1802 0.9277 O
0.6964 0.3198 0.0723 O
0.1487 0.4362 0.2500 O
0.6487 0.0638 0.7500 O
0.3513 0.9362 0.2500 O
0.8513 0.5638 0.7500 O

ZnAg2O4 (PBE, optimized geometry); ΔE_f = -0.61 eV/atom
1.0
3.8313 -0.4160 4.0534
-4.3686 1.5394 4.3204
-1.0562 -10.9661 -0.5148
Zn Ag O
4 8 16
Direct
0.8009 0.7483 0.2498 Zn
0.1991 0.2517 0.7502 Zn
0.5084 0.7523 0.7497 Zn
0.4916 0.2477 0.2503 Zn
0.5477 0.2700 0.5352 Ag
0.5451 0.2321 0.9686 Ag
0.4523 0.7300 0.4648 Ag
0.4549 0.7679 0.0314 Ag
0.0000 0.5000 0.5000 Ag
0.0000 0.0000 0.0000 Ag
0.0000 0.0000 0.5000 Ag
0.0000 0.5000 0.0000 Ag
0.9091 0.2904 0.6177 O
0.8956 0.2088 0.8846 O
0.0909 0.7096 0.3823 O
0.1044 0.7912 0.1154 O
0.2626 0.2816 0.4142 O
0.2658 0.2223 0.0876 O
0.7374 0.7184 0.5858 O
0.7342 0.7777 0.9124 O
0.6252 0.5360 0.3268 O
0.6382 0.9659 0.1693 O
0.2870 0.9428 0.6043 O
0.2776 0.5469 0.8950 O
0.3748 0.4640 0.6732 O
0.3618 0.0341 0.8307 O
0.7130 0.0572 0.3957 O
0.7224 0.4531 0.1050 O

Copy entry 1 word for word.
YAgO3 (PBE, optimized geometry); ΔE_f = -1.54 eV/atom
1.0
4.4267 0.0000 0.0000
0.0000 4.4267 0.0000
0.0000 0.0000 4.4267
Y Ag O
1 1 3
Direct
0.5000 0.5000 0.5000 Y
0.0000 0.0000 0.0000 Ag
0.5000 0.0000 0.5000 O
0.0000 0.5000 0.5000 O
0.5000 0.5000 0.0000 O